Compound: DyV2Fe5Co5
Source: the Materials Project database
Functional: PBE
Structure: optimized geometry

The formation enthalpy at 0 K is -89.0 meV per atom. Its energy is -7.83 eV per atom.

a = 4.6541 Å, b = 8.3567 Å, c = 8.4011 Å
α = 90.00°, β = 90.00°, γ = 90.00°
Space group Imm2 (No. 44)
Unique sites:
Dy 0.0000 0.0000 0.0000 (multiplicity 2)
V 0.0000 0.0000 0.3599 (multiplicity 2)
V 0.0000 0.0000 0.6434 (multiplicity 2)
Fe 0.0000 0.5000 0.7262 (multiplicity 2)
Fe 0.2504 0.2487 0.7514 (multiplicity 8)
Co 0.0000 0.2750 0.5018 (multiplicity 4)
Co 0.0000 0.3590 0.0000 (multiplicity 4)
Co 0.0000 0.5000 0.2772 (multiplicity 2)